An optimized crystal structure of Ba3Zr2O7. Source: the Materials Project database, functional PBE. Values from VASP.

Geometry as Quantum ESPRESSO input:
```
&SYSTEM
  ibrav = 0, nat = 12, ntyp = 3
/
ATOMIC_SPECIES
Ba 137.33 Ba.upf
Zr 91.22 Zr.upf
O 16.00 O.upf
CELL_PARAMETERS angstrom
-2.128 2.128 11.047
2.128 -2.128 11.047
2.128 2.128 -11.047
ATOMIC_POSITIONS angstrom
Ba 0.000 0.000 0.000
Ba 0.000 0.000 4.099
Ba 0.000 0.000 17.994
Zr 0.000 0.000 8.895
Zr 0.000 0.000 13.198
O 2.128 0.000 2.125
O 0.000 0.000 6.778
O 2.128 0.000 8.921
O 0.000 0.000 11.047
O 0.000 2.128 2.125
O 0.000 0.000 15.315
O 0.000 2.128 8.921
```

Properties
DFT formation energy: -42.234 eV/f.u.
SG: I4/mmm (139)
calculated total energy: -7.91 eV/atom